No. 1
This record from the Materials Project database describes a relaxed Mn3CoCu2P6O24 crystal. The functional is PBE+U.

Summary:
ΔH_f (0 K)	-2.13	eV/atom
SG	R3, No. 146

Cell: 8.490 8.473 8.473 Å, 60.00 60.07 60.07°
Fractional positions:
O (0.438, 0.198, 0.374)
O (0.263, 0.554, 0.763)
O (0.236, 0.946, 0.082)
O (0.064, 0.510, 0.123)
O (0.762, 0.261, 0.056)
O (0.236, 0.736, 0.946)
O (0.736, 0.445, 0.237)
O (0.736, 0.582, 0.445)
O (0.564, 0.623, 0.010)
O (0.762, 0.056, 0.921)
O (0.064, 0.123, 0.303)
O (0.438, 0.374, 0.990)
O (0.762, 0.921, 0.261)
O (0.064, 0.303, 0.510)
O (0.263, 0.763, 0.420)
O (0.736, 0.237, 0.582)
O (0.564, 0.803, 0.623)
O (0.564, 0.010, 0.803)
O (0.935, 0.877, 0.698)
O (0.438, 0.990, 0.198)
O (0.935, 0.698, 0.490)
O (0.935, 0.490, 0.877)
O (0.236, 0.082, 0.736)
O (0.263, 0.420, 0.554)
P (0.253, 0.963, 0.249)
P (0.253, 0.535, 0.963)
P (0.253, 0.249, 0.535)
P (0.749, 0.039, 0.753)
P (0.749, 0.459, 0.039)
P (0.749, 0.753, 0.459)
Co (0.578, 0.141, 0.141)
Cu (0.994, 0.002, 0.002)
Cu (0.499, 0.500, 0.500)
Mn (0.927, 0.358, 0.358)
Mn (0.073, 0.642, 0.642)
Mn (0.425, 0.858, 0.858)

---

No. 2
This record from the Materials Project database describes a relaxed CoTe2O7 crystal. The functional is PBE+U.

Summary:
ΔH_f (0 K)	-1.07	eV/atom
SG	P2_1/c, No. 14

Cell: 15.665 7.035 11.889 Å, 76.94 90.00 90.00°
Fractional positions:
O (0.025, 0.217, 0.455)
O (0.946, 0.370, 0.672)
O (0.700, 0.652, 0.057)
O (0.148, 0.965, 0.868)
O (0.554, 0.370, 0.172)
O (0.637, 0.011, 0.869)
O (0.538, 0.270, 0.436)
O (0.743, 0.713, 0.286)
O (0.837, 0.051, 0.617)
O (0.257, 0.692, 0.779)
O (0.038, 0.730, 0.064)
O (0.605, 0.527, 0.702)
O (0.184, 0.026, 0.101)
O (0.462, 0.730, 0.564)
O (0.816, 0.974, 0.899)
O (0.975, 0.783, 0.545)
O (0.895, 0.527, 0.202)
O (0.110, 0.579, 0.585)
O (0.337, 0.949, 0.883)
O (0.863, 0.011, 0.369)
O (0.137, 0.989, 0.631)
O (0.257, 0.287, 0.714)
O (0.663, 0.051, 0.117)
O (0.163, 0.949, 0.383)
O (0.267, 0.652, 0.547)
O (0.648, 0.035, 0.632)
O (0.390, 0.579, 0.085)
O (0.757, 0.308, 0.721)
O (0.039, 0.271, 0.214)
O (0.890, 0.421, 0.415)
O (0.539, 0.729, 0.286)
O (0.767, 0.348, 0.953)
O (0.961, 0.729, 0.786)
O (0.610, 0.421, 0.915)
O (0.105, 0.473, 0.798)
O (0.316, 0.026, 0.601)
O (0.962, 0.270, 0.936)
O (0.800, 0.652, 0.557)
O (0.475, 0.217, 0.955)
O (0.852, 0.035, 0.132)
O (0.395, 0.473, 0.298)
O (0.757, 0.713, 0.786)
O (0.446, 0.630, 0.828)
O (0.363, 0.989, 0.131)
O (0.352, 0.965, 0.368)
O (0.684, 0.974, 0.399)
O (0.233, 0.652, 0.047)
O (0.525, 0.783, 0.045)
O (0.300, 0.348, 0.943)
O (0.461, 0.271, 0.714)
O (0.200, 0.348, 0.443)
O (0.243, 0.287, 0.214)
O (0.054, 0.630, 0.328)
O (0.243, 0.692, 0.279)
O (0.733, 0.348, 0.453)
O (0.743, 0.308, 0.221)
Te (0.639, 0.880, 0.021)
Te (0.206, 0.523, 0.696)
Te (0.861, 0.880, 0.521)
Te (0.294, 0.523, 0.196)
Te (0.361, 0.120, 0.979)
Te (0.794, 0.477, 0.304)
Te (0.862, 0.149, 0.977)
Te (0.139, 0.120, 0.479)
Te (0.138, 0.851, 0.023)
Te (0.007, 0.581, 0.696)
Te (0.706, 0.477, 0.804)
Te (0.493, 0.581, 0.196)
Te (0.993, 0.419, 0.304)
Te (0.507, 0.419, 0.804)
Te (0.362, 0.851, 0.523)
Te (0.638, 0.149, 0.477)
Co (0.661, 0.363, 0.082)
Co (0.740, 0.005, 0.754)
Co (0.839, 0.363, 0.582)
Co (0.240, 0.995, 0.746)
Co (0.161, 0.637, 0.418)
Co (0.760, 0.005, 0.254)
Co (0.339, 0.637, 0.918)
Co (0.260, 0.995, 0.246)

---

No. 3
This record from the Materials Project database describes a relaxed Mn2GeO4 crystal. The functional is PBE+U.

Summary:
ΔE to the lowest computed polymorph	0.031	eV per atom
ΔH_f (0 K)	-2.08	eV/atom
SG	Imma, No. 74

Cell: 8.178 8.178 8.178 Å, 136.07 114.19 82.54°
Fractional positions:
O (0.118, 0.381, 0.253)
O (0.882, 0.619, 0.747)
O (0.536, 0.750, 0.786)
O (0.464, 0.250, 0.214)
O (0.628, 0.881, 0.262)
O (0.246, 0.992, 0.254)
O (0.762, 0.508, 0.254)
O (0.970, 0.250, 0.720)
O (0.118, 0.865, 0.738)
O (0.882, 0.135, 0.262)
O (0.628, 0.365, 0.747)
O (0.238, 0.492, 0.746)
O (0.372, 0.635, 0.253)
O (0.754, 0.008, 0.746)
O (0.372, 0.119, 0.738)
O (0.030, 0.750, 0.280)
Mn (0.500, 0.500, 0.000)
Mn (0.377, 0.377, 0.500)
Mn (0.218, 0.250, 0.968)
Mn (0.623, 0.623, 0.500)
Mn (0.377, 0.877, 0.000)
Mn (0.000, 0.000, 0.000)
Mn (0.623, 0.123, 0.000)
Mn (0.782, 0.750, 0.032)
Ge (0.265, 0.881, 0.384)
Ge (0.997, 0.381, 0.616)
Ge (0.003, 0.619, 0.384)
Ge (0.735, 0.119, 0.616)

---

No. 4
This record from the Materials Project database describes a relaxed Na2MnP5O15 crystal. The functional is PBE+U.

Summary:
ΔH_f (0 K)	-2.58	eV/atom
SG	P2_1/m, No. 11

Cell: 13.743 5.298 8.916 Å, 76.88 90.00 90.00°
Fractional positions:
O (0.921, 0.122, 0.582)
O (0.645, 0.137, 0.311)
O (0.250, 0.997, 0.459)
O (0.987, 0.487, 0.284)
O (0.341, 0.447, 0.885)
O (0.145, 0.863, 0.689)
O (0.379, 0.301, 0.507)
O (0.579, 0.122, 0.582)
O (0.855, 0.137, 0.311)
O (0.250, 0.206, 0.118)
O (0.750, 0.288, 0.950)
O (0.250, 0.712, 0.050)
O (0.750, 0.794, 0.882)
O (0.031, 0.787, 0.918)
O (0.121, 0.301, 0.507)
O (0.879, 0.699, 0.493)
O (0.969, 0.213, 0.082)
O (0.621, 0.699, 0.493)
O (0.355, 0.863, 0.689)
O (0.513, 0.487, 0.284)
O (0.159, 0.447, 0.885)
O (0.841, 0.553, 0.115)
O (0.531, 0.213, 0.082)
O (0.013, 0.513, 0.716)
O (0.750, 0.003, 0.541)
O (0.659, 0.553, 0.115)
O (0.079, 0.878, 0.418)
O (0.421, 0.878, 0.418)
O (0.469, 0.787, 0.918)
O (0.487, 0.513, 0.716)
Na (0.110, 0.925, 0.128)
Na (0.390, 0.925, 0.128)
Na (0.610, 0.075, 0.872)
Na (0.890, 0.075, 0.872)
P (0.079, 0.655, 0.808)
P (0.421, 0.655, 0.808)
P (0.250, 0.459, 0.004)
P (0.640, 0.983, 0.487)
P (0.140, 0.017, 0.513)
P (0.579, 0.345, 0.192)
P (0.860, 0.983, 0.487)
P (0.750, 0.541, 0.996)
P (0.360, 0.017, 0.513)
P (0.921, 0.345, 0.192)
Mn (0.500, 0.500, 0.500)
Mn (0.000, 0.500, 0.500)

---

The lowest ΔH_f (0 K) belongs to which entry?
Na2MnP5O15

---

The lowest ΔH_f (0 K) belongs to which entry?
Na2MnP5O15

---

Which formula does entry 3 have?
Mn2GeO4